(1)
Computed, not measured: an optimized crystal structure of Ca2RuO4 at the PBE-GGA level of DFT.

As for the total energy: -6.853 eV per atom. The energy with MP2020 corrections is -0.266 hartree per atom. The formation energy comes out at -2.520 eV/atom. The value obtained for the density is 4.47 g/cm3.

The structure belongs to space group Pbca (No. 61); the cell edges are 5.4117, 5.5943 and 12.0362 Å and the angles 90.00°, 90.00° and 90.00°. The asymmetric unit holds Ca at (0.0075, 0.0577, 0.1504), Ru at (0.0000, 0.0000, 0.5000), O at (0.0695, 0.0226, 0.6668) and O at (0.1962, 0.2005, 0.9726).



(2)
Computed, not measured: an optimized crystal structure of La2NdMn6Si6 at the PBE-GGA level of DFT.

As for the total energy: -7.364 eV per atom. The energy with MP2020 corrections is -0.270 hartree per atom. The formation energy comes out at -0.524 eV/atom. The value obtained for the density is 6.00 g/cm3.

The structure belongs to space group I4/mmm (No. 139); the cell edges are 3.9988, 3.9988 and 31.8353 Å and the angles 90.00°, 90.00° and 90.00°. The asymmetric unit holds La at (0.0000, 0.0000, 0.1665), Nd at (0.0000, 0.0000, 0.5000), Mn at (0.0000, 0.5000, 0.0829), Mn at (0.0000, 0.5000, 0.2500), Si at (0.0000, 0.0000, 0.0416), Si at (0.0000, 0.0000, 0.2907) and Si at (0.0000, 0.0000, 0.3760).



(3)
Computed, not measured: an optimized crystal structure of BaCaSiO4 at the PBE-GGA level of DFT.

As for the total energy: -7.119 eV per atom. The energy with MP2020 corrections is -0.276 hartree per atom. The formation energy comes out at -3.349 eV/atom. The value obtained for the density is 4.37 g/cm3.

The structure belongs to space group P6_3mc (No. 186); the cell edges are 11.3827, 11.3827 and 7.3052 Å and the angles 90.00°, 90.00° and 120.00°. The asymmetric unit holds Ba at (0.1670, 0.3340, 0.0000), Ba at (0.3333, 0.6667, 0.6881), Ca at (0.0000, 0.0000, 0.2968), Ca at (0.0584, 0.5292, 0.3229), Si at (0.1713, 0.3426, 0.5506), Si at (0.3333, 0.6667, 0.1154), O at (0.0856, 0.4096, 0.6445), O at (0.0873, 0.1747, 0.5846), O at (0.1759, 0.5879, 0.0334), O at (0.1870, 0.3740, 0.3331) and O at (0.3333, 0.6667, 0.3379).